1.
Y3Si5N9O r²SCAN relaxed; final energy = -12.52 eV/atom; calculated volume = 856.43 Å³/cell
1.0
0.729 -4.914 -0.247
-1.198 0.354 -10.586
15.875 2.440 -1.714
Y Si N O
12 20 36 4
direct
0.663 0.928 0.600 Y
0.337 0.072 0.400 Y
0.337 0.428 0.400 Y
0.337 0.572 0.100 Y
0.663 0.572 0.600 Y
0.663 0.428 0.900 Y
0.663 0.072 0.900 Y
0.337 0.928 0.100 Y
0.703 0.750 0.796 Y
0.297 0.250 0.204 Y
0.297 0.750 0.296 Y
0.703 0.250 0.704 Y
0.251 0.750 0.670 Si
0.749 0.250 0.330 Si
0.749 0.750 0.170 Si
0.251 0.250 0.830 Si
0.896 0.896 0.424 Si
0.104 0.104 0.576 Si
0.104 0.396 0.576 Si
0.104 0.604 0.924 Si
0.896 0.604 0.424 Si
0.896 0.396 0.076 Si
0.896 0.104 0.076 Si
0.104 0.896 0.924 Si
0.610 0.750 0.973 Si
0.390 0.250 0.027 Si
0.390 0.750 0.473 Si
0.610 0.250 0.527 Si
0.182 0.000 0.750 Si
0.818 0.000 0.250 Si
0.818 0.500 0.250 Si
0.182 0.500 0.750 Si
0.977 0.944 0.829 N
0.023 0.056 0.171 N
0.023 0.444 0.171 N
0.023 0.556 0.329 N
0.977 0.556 0.829 N
0.977 0.444 0.671 N
0.977 0.056 0.671 N
0.023 0.944 0.329 N
0.942 0.750 0.937 N
0.058 0.250 0.063 N
0.058 0.750 0.437 N
0.942 0.250 0.563 N
0.404 0.750 0.576 N
0.596 0.250 0.424 N
0.596 0.750 0.076 N
0.404 0.250 0.924 N
0.447 0.880 0.932 N
0.553 0.120 0.068 N
0.553 0.380 0.068 N
0.553 0.620 0.432 N
0.447 0.620 0.932 N
0.447 0.380 0.568 N
0.447 0.120 0.568 N
0.553 0.880 0.432 N
0.000 0.000 0.000 N
0.000 0.500 0.000 N
0.000 0.500 0.500 N
0.000 0.000 0.500 N
0.389 0.879 0.717 N
0.611 0.121 0.283 N
0.611 0.379 0.283 N
0.611 0.621 0.217 N
0.389 0.621 0.717 N
0.389 0.379 0.783 N
0.389 0.121 0.783 N
0.611 0.879 0.217 N
0.918 0.750 0.667 O
0.082 0.250 0.333 O
0.082 0.750 0.167 O
0.918 0.250 0.833 O

2.
TaNO r²SCAN relaxed; final energy = -23.38 eV/atom; calculated volume = 162.11 Å³/cell
1.0
1.931 6.545 0.002
-1.931 6.545 0.002
0.000 2.040 6.414
Ta N O
4 4 4
direct
0.398 0.398 0.207 Ta
0.602 0.602 0.793 Ta
0.689 0.689 0.195 Ta
0.311 0.311 0.805 Ta
0.242 0.242 0.148 N
0.758 0.758 0.852 N
0.554 0.554 0.137 N
0.446 0.446 0.863 N
0.359 0.359 0.506 O
0.641 0.641 0.494 O
0.135 0.135 0.790 O
0.865 0.865 0.210 O

3.
TaNO r²SCAN relaxed; final energy = -23.41 eV/atom; calculated volume = 128.60 Å³/cell
1.0
-3.785 -3.234 -0.110
2.709 -3.071 -2.940
2.527 -1.772 4.179
Ta N O
4 4 4
direct
0.293 0.455 0.716 Ta
0.707 0.955 0.784 Ta
0.707 0.545 0.284 Ta
0.293 0.045 0.216 Ta
0.444 0.744 0.979 N
0.556 0.244 0.521 N
0.556 0.256 0.021 N
0.444 0.756 0.479 N
0.062 0.326 0.347 O
0.938 0.826 0.153 O
0.938 0.674 0.653 O
0.062 0.174 0.847 O

4.
Ta3NO6 r²SCAN relaxed; final energy = -21.88 eV/atom; calculated volume = 414.22 Å³/cell
1.0
1.930 10.377 -0.010
-1.930 10.377 -0.010
0.000 5.979 10.335
Ta N O
9 3 18
direct
0.000 0.000 0.000 Ta
0.816 0.816 0.003 Ta
0.183 0.183 0.002 Ta
0.919 0.919 0.634 Ta
0.080 0.080 0.373 Ta
0.104 0.104 0.627 Ta
0.892 0.892 0.373 Ta
0.709 0.709 0.370 Ta
0.290 0.290 0.632 Ta
0.828 0.828 0.590 N
0.173 0.173 0.404 N
0.024 0.024 0.582 N
0.628 0.628 0.582 O
0.375 0.375 0.414 O
0.402 0.402 0.626 O
0.598 0.598 0.371 O
0.207 0.207 0.614 O
0.796 0.796 0.377 O
0.752 0.752 0.192 O
0.246 0.246 0.810 O
0.291 0.291 0.003 O
0.709 0.709 0.999 O
0.099 0.099 0.989 O
0.900 0.900 0.014 O
0.976 0.976 0.414 O
0.128 0.128 0.189 O
0.871 0.871 0.814 O
0.499 0.499 0.001 O
0.952 0.952 0.195 O
0.049 0.049 0.806 O